*i*
VASP calculation (PBE with a Hubbard U) on a relaxed LiV3OF11 crystal.

```
data_LiV3OF11
_cell_length_a 15.380
_cell_length_b 5.240
_cell_length_c 5.412
_cell_angle_alpha 90.00
_cell_angle_beta 100.07
_cell_angle_gamma 90.00
_symmetry_space_group_name_H-M 'P 1'
_symmetry_Int_Tables_number 1
loop_
_symmetry_equiv_pos_as_xyz
'x,y,z'
loop_
_atom_site_label
_atom_site_type_symbol
_atom_site_fract_x
_atom_site_fract_y
_atom_site_fract_z
_atom_site_occupancy
Li1 Li 0.000 0.210 0.000 1
Li2 Li 0.000 0.790 0.500 1
V1 V 0.233 0.249 0.034 1
V2 V 0.233 0.751 0.534 1
V3 V 0.563 0.250 0.700 1
V4 V 0.563 0.750 0.200 1
V5 V 0.890 0.281 0.385 1
V6 V 0.890 0.719 0.885 1
O1 O 0.921 0.452 0.679 1
O2 O 0.921 0.548 0.179 1
F1 F 0.005 0.143 0.382 1
F2 F 0.005 0.857 0.882 1
F3 F 0.115 0.335 0.991 1
F4 F 0.115 0.665 0.491 1
F5 F 0.206 0.053 0.720 1
F6 F 0.206 0.947 0.220 1
F7 F 0.254 0.444 0.347 1
F8 F 0.254 0.556 0.847 1
F9 F 0.345 0.160 0.072 1
F10 F 0.345 0.840 0.572 1
F11 F 0.450 0.337 0.658 1
F12 F 0.450 0.663 0.158 1
F13 F 0.539 0.055 0.385 1
F14 F 0.539 0.945 0.885 1
F15 F 0.587 0.444 0.014 1
F16 F 0.587 0.556 0.514 1
F17 F 0.676 0.167 0.737 1
F18 F 0.676 0.833 0.237 1
F19 F 0.775 0.329 0.312 1
F20 F 0.775 0.671 0.812 1
F21 F 0.874 0.047 0.052 1
F22 F 0.874 0.953 0.552 1
```

=====

*ii*
VASP calculation (PBE with a Hubbard U) on a relaxed LiV3OF11 crystal.

```
data_LiV3OF11
_cell_length_a 5.300
_cell_length_b 5.450
_cell_length_c 15.305
_cell_angle_alpha 99.92
_cell_angle_beta 90.27
_cell_angle_gamma 90.38
_symmetry_space_group_name_H-M 'P 1'
_symmetry_Int_Tables_number 1
loop_
_symmetry_equiv_pos_as_xyz
'x,y,z'
loop_
_atom_site_label
_atom_site_type_symbol
_atom_site_fract_x
_atom_site_fract_y
_atom_site_fract_z
_atom_site_occupancy
Li1 Li 0.000 0.000 0.000 1
Li2 Li 0.493 0.572 0.015 1
V1 V 0.295 0.873 0.177 1
V2 V 0.306 0.531 0.511 1
V3 V 0.313 0.194 0.836 1
V4 V 0.791 0.660 0.833 1
V5 V 0.803 0.371 0.186 1
V6 V 0.806 0.031 0.510 1
O1 O 0.235 0.822 0.066 1
O2 O 0.595 0.401 0.826 1
F1 F 0.007 0.339 0.534 1
F2 F 0.023 0.991 0.870 1
F3 F 0.100 0.490 0.864 1
F4 F 0.102 0.187 0.205 1
F5 F 0.105 0.838 0.533 1
F6 F 0.212 0.153 0.725 1
F7 F 0.221 0.490 0.397 1
F8 F 0.373 0.245 0.959 1
F9 F 0.392 0.572 0.624 1
F10 F 0.403 0.899 0.291 1
F11 F 0.507 0.224 0.488 1
F12 F 0.512 0.895 0.818 1
F13 F 0.517 0.552 0.148 1
F14 F 0.606 0.723 0.487 1
F15 F 0.615 0.065 0.156 1
F16 F 0.710 0.407 0.297 1
F17 F 0.725 0.073 0.624 1
F18 F 0.737 0.755 0.961 1
F19 F 0.887 0.318 0.066 1
F20 F 0.888 0.992 0.397 1
F21 F 0.910 0.673 0.725 1
F22 F 0.997 0.673 0.205 1
```

=====

*iii*
VASP calculation (PBE with a Hubbard U) on a relaxed LiV3OF11 crystal.

```
data_LiV3OF11
_cell_length_a 5.478
_cell_length_b 6.018
_cell_length_c 7.049
_cell_angle_alpha 104.46
_cell_angle_beta 103.60
_cell_angle_gamma 93.25
_symmetry_space_group_name_H-M 'P 1'
_symmetry_Int_Tables_number 1
loop_
_symmetry_equiv_pos_as_xyz
'x,y,z'
loop_
_atom_site_label
_atom_site_type_symbol
_atom_site_fract_x
_atom_site_fract_y
_atom_site_fract_z
_atom_site_occupancy
Li1 Li 0.000 0.000 0.000 1
V1 V 0.130 0.133 0.539 1
V2 V 0.406 0.633 0.741 1
V3 V 0.788 0.450 0.333 1
O1 O 0.119 0.441 0.533 1
F1 F 0.210 0.728 0.911 1
F2 F 0.229 0.038 0.308 1
F3 F 0.362 0.877 0.616 1
F4 F 0.426 0.315 0.765 1
F5 F 0.472 0.404 0.187 1
F6 F 0.644 0.548 0.575 1
F7 F 0.685 0.785 0.945 1
F8 F 0.779 0.139 0.387 1
F9 F 0.909 0.323 0.113 1
F10 F 0.909 0.746 0.366 1
F11 F 0.991 0.089 0.742 1
```

=====

Least stable = *iii*

=====

*i*
# Li2MnF4, relaxed, DFT PBE with a Hubbard U
# Maximum piezoelectric response = 0.54 C/m²
data_Li2MnF4
_cell_length_a 4.408
_cell_length_b 4.408
_cell_length_c 5.007
_cell_angle_alpha 90.00
_cell_angle_beta 90.00
_cell_angle_gamma 90.00
_symmetry_space_group_name_H-M 'P 1'
_symmetry_Int_Tables_number 1
loop_
_symmetry_equiv_pos_as_xyz
'x,y,z'
loop_
_atom_site_label
_atom_site_type_symbol
_atom_site_fract_x
_atom_site_fract_y
_atom_site_fract_z
_atom_site_occupancy
Li1 Li 0.000 0.500 0.000 1
Li2 Li 0.500 0.000 0.000 1
Mn1 Mn 0.000 0.000 0.500 1
F1 F 0.237 0.237 0.779 1
F2 F 0.237 0.763 0.221 1
F3 F 0.763 0.237 0.221 1
F4 F 0.763 0.763 0.779 1

=====

*ii*
VASP calculation (PBE with a Hubbard U) on a relaxed Li2MnF4 crystal.

```
data_Li2MnF4
_cell_length_a 6.010
_cell_length_b 5.483
_cell_length_c 10.650
_cell_angle_alpha 90.00
_cell_angle_beta 107.03
_cell_angle_gamma 90.00
_symmetry_space_group_name_H-M 'P 1'
_symmetry_Int_Tables_number 1
loop_
_symmetry_equiv_pos_as_xyz
'x,y,z'
loop_
_atom_site_label
_atom_site_type_symbol
_atom_site_fract_x
_atom_site_fract_y
_atom_site_fract_z
_atom_site_occupancy
Li1 Li 0.114 0.246 0.295 1
Li2 Li 0.114 0.254 0.795 1
Li3 Li 0.173 0.646 0.073 1
Li4 Li 0.173 0.854 0.573 1
Li5 Li 0.827 0.146 0.427 1
Li6 Li 0.827 0.354 0.927 1
Li7 Li 0.886 0.746 0.205 1
Li8 Li 0.886 0.754 0.705 1
Mn1 Mn 0.410 0.140 0.117 1
Mn2 Mn 0.410 0.360 0.617 1
Mn3 Mn 0.590 0.640 0.383 1
Mn4 Mn 0.590 0.860 0.883 1
F1 F 0.156 0.160 0.472 1
F2 F 0.156 0.340 0.972 1
F3 F 0.166 0.547 0.704 1
F4 F 0.166 0.953 0.204 1
F5 F 0.323 0.054 0.731 1
F6 F 0.323 0.446 0.231 1
F7 F 0.357 0.681 0.496 1
F8 F 0.357 0.819 0.996 1
F9 F 0.643 0.181 0.004 1
F10 F 0.643 0.319 0.504 1
F11 F 0.677 0.554 0.769 1
F12 F 0.677 0.946 0.269 1
F13 F 0.834 0.047 0.796 1
F14 F 0.834 0.453 0.296 1
F15 F 0.844 0.660 0.028 1
F16 F 0.844 0.840 0.528 1
```

=====

Least stable = *i*

=====

*i*
VASP calculation (PBE with a Hubbard U) on a relaxed Li2MnF4 crystal.

```
data_Li2MnF4
_cell_length_a 8.991
_cell_length_b 8.991
_cell_length_c 8.991
_cell_angle_alpha 107.56
_cell_angle_beta 107.56
_cell_angle_gamma 107.56
_symmetry_space_group_name_H-M 'P 1'
_symmetry_Int_Tables_number 1
loop_
_symmetry_equiv_pos_as_xyz
'x,y,z'
loop_
_atom_site_label
_atom_site_type_symbol
_atom_site_fract_x
_atom_site_fract_y
_atom_site_fract_z
_atom_site_occupancy
Li1 Li 0.136 0.275 0.855 1
Li2 Li 0.145 0.864 0.725 1
Li3 Li 0.207 0.443 0.582 1
Li4 Li 0.275 0.855 0.136 1
Li5 Li 0.418 0.793 0.557 1
Li6 Li 0.443 0.582 0.207 1
Li7 Li 0.557 0.418 0.793 1
Li8 Li 0.582 0.207 0.443 1
Li9 Li 0.725 0.145 0.864 1
Li10 Li 0.793 0.557 0.418 1
Li11 Li 0.855 0.136 0.275 1
Li12 Li 0.864 0.725 0.145 1
Mn1 Mn 0.053 0.490 0.206 1
Mn2 Mn 0.206 0.053 0.490 1
Mn3 Mn 0.490 0.206 0.053 1
Mn4 Mn 0.510 0.794 0.947 1
Mn5 Mn 0.794 0.947 0.510 1
Mn6 Mn 0.947 0.510 0.794 1
F1 F 0.037 0.346 0.346 1
F2 F 0.039 0.683 0.055 1
F3 F 0.055 0.039 0.683 1
F4 F 0.111 0.415 0.740 1
F5 F 0.260 0.889 0.585 1
F6 F 0.310 0.621 0.328 1
F7 F 0.317 0.945 0.961 1
F8 F 0.328 0.310 0.621 1
F9 F 0.346 0.037 0.346 1
F10 F 0.346 0.346 0.037 1
F11 F 0.379 0.672 0.690 1
F12 F 0.415 0.740 0.111 1
F13 F 0.585 0.260 0.889 1
F14 F 0.621 0.328 0.310 1
F15 F 0.654 0.654 0.963 1
F16 F 0.654 0.963 0.654 1
F17 F 0.672 0.690 0.379 1
F18 F 0.683 0.055 0.039 1
F19 F 0.690 0.379 0.672 1
F20 F 0.740 0.111 0.415 1
F21 F 0.889 0.585 0.260 1
F22 F 0.945 0.961 0.317 1
F23 F 0.961 0.317 0.945 1
F24 F 0.963 0.654 0.654 1
```

=====

*ii*
# Li2MnF4, relaxed, DFT PBE with a Hubbard U
# Maximum piezoelectric response = 0.04 C/m²
data_Li2MnF4
_cell_length_a 6.130
_cell_length_b 6.130
_cell_length_c 8.625
_cell_angle_alpha 90.00
_cell_angle_beta 90.00
_cell_angle_gamma 90.00
_symmetry_space_group_name_H-M 'P 1'
_symmetry_Int_Tables_number 1
loop_
_symmetry_equiv_pos_as_xyz
'x,y,z'
loop_
_atom_site_label
_atom_site_type_symbol
_atom_site_fract_x
_atom_site_fract_y
_atom_site_fract_z
_atom_site_occupancy
Li1 Li 0.000 0.216 0.000 1
Li2 Li 0.000 0.784 0.500 1
Li3 Li 0.216 0.000 0.250 1
Li4 Li 0.248 0.248 0.625 1
Li5 Li 0.248 0.752 0.875 1
Li6 Li 0.752 0.248 0.375 1
Li7 Li 0.752 0.752 0.125 1
Li8 Li 0.784 0.000 0.750 1
Mn1 Mn 0.228 0.500 0.250 1
Mn2 Mn 0.500 0.228 0.000 1
Mn3 Mn 0.500 0.772 0.500 1
Mn4 Mn 0.772 0.500 0.750 1
F1 F 0.003 0.243 0.238 1
F2 F 0.003 0.757 0.262 1
F3 F 0.243 0.003 0.012 1
F4 F 0.243 0.997 0.488 1
F5 F 0.249 0.480 0.002 1
F6 F 0.249 0.520 0.498 1
F7 F 0.480 0.249 0.248 1
F8 F 0.480 0.751 0.252 1
F9 F 0.520 0.249 0.752 1
F10 F 0.520 0.751 0.748 1
F11 F 0.751 0.480 0.998 1
F12 F 0.751 0.520 0.502 1
F13 F 0.757 0.003 0.988 1
F14 F 0.757 0.997 0.512 1
F15 F 0.997 0.243 0.762 1
F16 F 0.997 0.757 0.738 1

=====

Least stable = *i*

=====

*i*
VASP calculation (PBE with a Hubbard U) on a relaxed Li2MnF4 crystal.

```
data_Li2MnF4
_cell_length_a 9.943
_cell_length_b 7.350
_cell_length_c 10.121
_cell_angle_alpha 90.00
_cell_angle_beta 116.82
_cell_angle_gamma 90.00
_symmetry_space_group_name_H-M 'P 1'
_symmetry_Int_Tables_number 1
loop_
_symmetry_equiv_pos_as_xyz
'x,y,z'
loop_
_atom_site_label
_atom_site_type_symbol
_atom_site_fract_x
_atom_site_fract_y
_atom_site_fract_z
_atom_site_occupancy
Li1 Li 0.124 0.137 0.061 1
Li2 Li 0.124 0.363 0.561 1
Li3 Li 0.155 0.505 0.085 1
Li4 Li 0.155 0.995 0.585 1
Li5 Li 0.341 0.019 0.921 1
Li6 Li 0.341 0.481 0.421 1
Li7 Li 0.354 0.092 0.444 1
Li8 Li 0.354 0.408 0.944 1
Li9 Li 0.646 0.592 0.056 1
Li10 Li 0.646 0.908 0.556 1
Li11 Li 0.659 0.519 0.579 1
Li12 Li 0.659 0.981 0.079 1
Li13 Li 0.845 0.005 0.415 1
Li14 Li 0.845 0.495 0.915 1
Li15 Li 0.876 0.637 0.439 1
Li16 Li 0.876 0.863 0.939 1
Mn1 Mn 0.038 0.721 0.767 1
Mn2 Mn 0.038 0.779 0.267 1
Mn3 Mn 0.481 0.720 0.250 1
Mn4 Mn 0.481 0.780 0.750 1
Mn5 Mn 0.519 0.220 0.250 1
Mn6 Mn 0.519 0.280 0.750 1
Mn7 Mn 0.962 0.221 0.733 1
Mn8 Mn 0.962 0.279 0.233 1
F1 F 0.008 0.165 0.437 1
F2 F 0.008 0.335 0.937 1
F3 F 0.037 0.526 0.379 1
F4 F 0.037 0.974 0.879 1
F5 F 0.178 0.209 0.738 1
F6 F 0.178 0.291 0.238 1
F7 F 0.211 0.585 0.935 1
F8 F 0.211 0.915 0.435 1
F9 F 0.286 0.642 0.256 1
F10 F 0.286 0.858 0.756 1
F11 F 0.316 0.192 0.055 1
F12 F 0.316 0.308 0.555 1
F13 F 0.475 0.518 0.850 1
F14 F 0.475 0.982 0.350 1
F15 F 0.489 0.643 0.578 1
F16 F 0.489 0.857 0.078 1
F17 F 0.511 0.143 0.922 1
F18 F 0.511 0.357 0.422 1
F19 F 0.525 0.018 0.650 1
F20 F 0.525 0.482 0.150 1
F21 F 0.684 0.692 0.445 1
F22 F 0.684 0.808 0.945 1
F23 F 0.714 0.142 0.244 1
F24 F 0.714 0.358 0.744 1
F25 F 0.789 0.085 0.565 1
F26 F 0.789 0.415 0.065 1
F27 F 0.822 0.709 0.762 1
F28 F 0.822 0.791 0.262 1
F29 F 0.963 0.026 0.121 1
F30 F 0.963 0.474 0.621 1
F31 F 0.992 0.665 0.063 1
F32 F 0.992 0.835 0.563 1
```

=====

*ii*
VASP calculation (PBE with a Hubbard U) on a relaxed Li2MnF4 crystal.

```
data_Li2MnF4
_cell_length_a 8.858
_cell_length_b 8.858
_cell_length_c 8.858
_cell_angle_alpha 21.76
_cell_angle_beta 21.76
_cell_angle_gamma 21.76
_symmetry_space_group_name_H-M 'P 1'
_symmetry_Int_Tables_number 1
loop_
_symmetry_equiv_pos_as_xyz
'x,y,z'
loop_
_atom_site_label
_atom_site_type_symbol
_atom_site_fract_x
_atom_site_fract_y
_atom_site_fract_z
_atom_site_occupancy
Li1 Li 0.204 0.204 0.204 1
Li2 Li 0.796 0.796 0.796 1
Mn1 Mn 0.000 0.000 0.000 1
F1 F 0.126 0.126 0.126 1
F2 F 0.371 0.371 0.371 1
F3 F 0.629 0.629 0.629 1
F4 F 0.874 0.874 0.874 1
```

=====

*iii*
VASP calculation (PBE with a Hubbard U) on a relaxed Li2MnF4 crystal.

```
data_Li2MnF4
_cell_length_a 9.469
_cell_length_b 5.971
_cell_length_c 5.284
_cell_angle_alpha 90.00
_cell_angle_beta 90.00
_cell_angle_gamma 90.00
_symmetry_space_group_name_H-M 'P 1'
_symmetry_Int_Tables_number 1
loop_
_symmetry_equiv_pos_as_xyz
'x,y,z'
loop_
_atom_site_label
_atom_site_type_symbol
_atom_site_fract_x
_atom_site_fract_y
_atom_site_fract_z
_atom_site_occupancy
Li1 Li 0.000 0.000 0.000 1
Li2 Li 0.000 0.500 0.000 1
Li3 Li 0.218 0.250 0.464 1
Li4 Li 0.282 0.750 0.964 1
Li5 Li 0.500 0.000 0.500 1
Li6 Li 0.500 0.500 0.500 1
Li7 Li 0.718 0.250 0.036 1
Li8 Li 0.782 0.750 0.536 1
Mn1 Mn 0.158 0.750 0.469 1
Mn2 Mn 0.342 0.250 0.969 1
Mn3 Mn 0.658 0.750 0.031 1
Mn4 Mn 0.842 0.250 0.531 1
F1 F 0.048 0.250 0.683 1
F2 F 0.073 0.750 0.824 1
F3 F 0.196 0.008 0.191 1
F4 F 0.196 0.492 0.191 1
F5 F 0.304 0.508 0.691 1
F6 F 0.304 0.992 0.691 1
F7 F 0.427 0.250 0.324 1
F8 F 0.452 0.750 0.183 1
F9 F 0.548 0.250 0.817 1
F10 F 0.573 0.750 0.676 1
F11 F 0.696 0.008 0.309 1
F12 F 0.696 0.492 0.309 1
F13 F 0.804 0.508 0.809 1
F14 F 0.804 0.992 0.809 1
F15 F 0.927 0.250 0.176 1
F16 F 0.952 0.750 0.317 1
```

=====

Least stable = *ii*